Density functional theory data (PBE) for a relaxed Rb crystal.

Summary:
The energy relative to the lowest polymorph listed for this composition is 7.5 meV per atom. The formation energy is 0.01 eV/f.u. Its symmetry is No. 213.

Cell lengths 12.2991, 12.2991, 12.2991 Å; angles 90.00, 90.00, 90.00 degrees
Closest atoms and distances in Å follow each position.
Element x y z (fractional)
Rb 0.0472 0.1250 0.7972  12 Rb 5.00-5.22
Rb 0.0628 0.9372 0.4372  9 Rb 4.61-5.15
Rb 0.1250 0.7972 0.0472  12 Rb 5.00-5.22
Rb 0.1872 0.1872 0.1872  9 Rb 4.61-5.15
Rb 0.2028 0.5472 0.3750  12 Rb 5.00-5.22
Rb 0.2972 0.4528 0.8750  12 Rb 5.00-5.22
Rb 0.3128 0.8128 0.6872  9 Rb 4.61-5.15
Rb 0.3750 0.2028 0.5472  12 Rb 5.00-5.22
Rb 0.4372 0.0628 0.9372  9 Rb 4.61-5.15
Rb 0.4528 0.8750 0.2972  12 Rb 5.00-5.22
Rb 0.5472 0.3750 0.2028  12 Rb 5.00-5.22
Rb 0.5628 0.5628 0.5628  9 Rb 4.61-5.15
Rb 0.6250 0.7028 0.9528  12 Rb 5.00-5.22
Rb 0.6872 0.3128 0.8128  9 Rb 4.61-5.15
Rb 0.7028 0.9528 0.6250  12 Rb 5.00-5.22
Rb 0.7972 0.0472 0.1250  12 Rb 5.00-5.22
Rb 0.8128 0.6872 0.3128  9 Rb 4.61-5.15
Rb 0.8750 0.2972 0.4528  12 Rb 5.00-5.22
Rb 0.9372 0.4372 0.0628  9 Rb 4.61-5.15
Rb 0.9528 0.6250 0.7028  12 Rb 5.00-5.22